(1)
TiCr2: relaxed, r2SCAN.

Summary:
Energy of formation (kJ/mol of atoms): 8.8
Distance to the lowest polymorph of the same formula (eV per atom): 0.007

a = 4.841 Å, b = 4.841 Å, c = 15.684 Å
α = 90.00°, β = 90.00°, γ = 120.00°
Fractional positions:
Ti (0.000, 0.000, 0.095)
Ti (0.000, 0.000, 0.405)
Ti (0.000, 0.000, 0.595)
Ti (0.000, 0.000, 0.905)
Ti (0.333, 0.667, 0.156)
Ti (0.333, 0.667, 0.344)
Ti (0.667, 0.333, 0.656)
Ti (0.667, 0.333, 0.844)
Cr (0.000, 0.500, 0.000)
Cr (0.000, 0.500, 0.500)
Cr (0.164, 0.327, 0.750)
Cr (0.164, 0.836, 0.750)
Cr (0.327, 0.164, 0.250)
Cr (0.333, 0.667, 0.623)
Cr (0.333, 0.667, 0.877)
Cr (0.500, 0.000, 0.000)
Cr (0.500, 0.000, 0.500)
Cr (0.500, 0.500, 0.000)
Cr (0.500, 0.500, 0.500)
Cr (0.667, 0.333, 0.123)
Cr (0.667, 0.333, 0.377)
Cr (0.673, 0.836, 0.750)
Cr (0.836, 0.164, 0.250)
Cr (0.836, 0.673, 0.250)

(2)
MnAlGe: relaxed, r2SCAN.

Summary:
Energy of formation (kJ/mol of atoms): -23.7

a = 3.858 Å, b = 3.858 Å, c = 5.985 Å
α = 90.00°, β = 90.00°, γ = 90.00°
Fractional positions:
Mn (0.250, 0.750, 0.000)
Mn (0.750, 0.250, 0.000)
Al (0.250, 0.250, 0.299)
Al (0.750, 0.750, 0.701)
Ge (0.250, 0.250, 0.717)
Ge (0.750, 0.750, 0.283)

(3)
Ti5Te8: relaxed, r2SCAN.

Summary:
Energy of formation (kJ/mol of atoms): -82.0

a = 7.510 Å, b = 7.510 Å, c = 9.251 Å
α = 125.37°, β = 125.37°, γ = 63.54°
Fractional positions:
Ti (0.000, 0.000, 0.000)
Ti (0.252, 0.252, 0.019)
Ti (0.284, 0.716, 0.500)
Ti (0.716, 0.284, 0.500)
Ti (0.748, 0.748, 0.981)
Te (0.034, 0.034, 0.335)
Te (0.048, 0.539, 0.828)
Te (0.451, 0.451, 0.677)
Te (0.461, 0.952, 0.172)
Te (0.539, 0.048, 0.828)
Te (0.549, 0.549, 0.323)
Te (0.952, 0.461, 0.172)
Te (0.966, 0.966, 0.665)

(4)
Mg2GeO4: relaxed, r2SCAN.

Summary:
Energy of formation (kJ/mol of atoms): -249.4
Distance to the lowest polymorph of the same formula (eV per atom): 0.000

a = 5.834 Å, b = 5.834 Å, c = 5.834 Å
α = 60.00°, β = 60.00°, γ = 60.00°
Fractional positions:
Mg (0.000, 0.000, 0.000)
Mg (0.000, 0.000, 0.500)
Mg (0.000, 0.500, 0.000)
Mg (0.500, 0.000, 0.000)
Ge (0.375, 0.375, 0.375)
Ge (0.625, 0.625, 0.625)
O (0.250, 0.250, 0.250)
O (0.250, 0.250, 0.750)
O (0.250, 0.750, 0.250)
O (0.250, 0.750, 0.750)
O (0.750, 0.250, 0.250)
O (0.750, 0.250, 0.750)
O (0.750, 0.750, 0.250)
O (0.750, 0.750, 0.750)

(5)
Ce2NCl3: relaxed, r2SCAN.

Summary:
Energy of formation (kJ/mol of atoms): -234.9

a = 8.259 Å, b = 8.259 Å, c = 8.259 Å
α = 130.82°, β = 67.58°, γ = 136.69°
Fractional positions:
Ce (0.094, 0.176, 0.269)
Ce (0.406, 0.676, 0.082)
Ce (0.594, 0.324, 0.918)
Ce (0.906, 0.824, 0.731)
N (0.250, 0.250, 0.000)
N (0.750, 0.750, 0.000)
Cl (0.198, 0.816, 0.014)
Cl (0.250, 0.750, 0.500)
Cl (0.302, 0.316, 0.617)
Cl (0.698, 0.684, 0.383)
Cl (0.750, 0.250, 0.500)
Cl (0.802, 0.184, 0.986)

(6)
Er2MgSe4: relaxed, r2SCAN.

Summary:
Energy of formation (kJ/mol of atoms): -190.6

a = 8.160 Å, b = 8.160 Å, c = 8.160 Å
α = 60.00°, β = 60.00°, γ = 60.00°
Fractional positions:
Er (0.000, 0.000, 0.000)
Er (0.000, 0.000, 0.500)
Er (0.000, 0.500, 0.000)
Er (0.500, 0.000, 0.000)
Mg (0.375, 0.375, 0.375)
Mg (0.625, 0.625, 0.625)
Se (0.235, 0.755, 0.755)
Se (0.245, 0.245, 0.245)
Se (0.245, 0.245, 0.765)
Se (0.245, 0.765, 0.245)
Se (0.755, 0.235, 0.755)
Se (0.755, 0.755, 0.235)
Se (0.755, 0.755, 0.755)
Se (0.765, 0.245, 0.245)

(7)
NdMn2Ge2: relaxed, r2SCAN.

Summary:
Energy of formation (kJ/mol of atoms): -63.2

a = 6.293 Å, b = 6.293 Å, c = 6.293 Å
α = 141.27°, β = 141.27°, γ = 55.93°
Fractional positions:
Nd (0.000, 0.000, 0.000)
Mn (0.250, 0.750, 0.500)
Mn (0.750, 0.250, 0.500)
Ge (0.385, 0.385, 0.000)
Ge (0.615, 0.615, 0.000)

(8)
ScFeGe2: relaxed, r2SCAN.

Summary:
Energy of formation (kJ/mol of atoms): -45.1

a = 9.352 Å, b = 10.080 Å, c = 8.051 Å
α = 90.00°, β = 90.00°, γ = 90.00°
Fractional positions:
Sc (0.164, 0.178, 0.000)
Sc (0.170, 0.452, 0.243)
Sc (0.170, 0.452, 0.757)
Sc (0.330, 0.952, 0.243)
Sc (0.330, 0.952, 0.757)
Sc (0.336, 0.678, 0.000)
Sc (0.664, 0.322, 0.000)
Sc (0.670, 0.048, 0.243)
Sc (0.670, 0.048, 0.757)
Sc (0.830, 0.548, 0.243)
Sc (0.830, 0.548, 0.757)
Sc (0.836, 0.822, 0.000)
Fe (0.000, 0.000, 0.245)
Fe (0.000, 0.000, 0.755)
Fe (0.081, 0.755, 0.251)
Fe (0.081, 0.755, 0.749)
Fe (0.419, 0.255, 0.251)
Fe (0.419, 0.255, 0.749)
Fe (0.500, 0.500, 0.245)
Fe (0.500, 0.500, 0.755)
Fe (0.581, 0.745, 0.251)
Fe (0.581, 0.745, 0.749)
Fe (0.919, 0.245, 0.251)
Fe (0.919, 0.245, 0.749)
Ge (0.041, 0.622, 0.500)
Ge (0.042, 0.622, 0.000)
Ge (0.125, 0.904, 0.500)
Ge (0.131, 0.895, 0.000)
Ge (0.169, 0.182, 0.344)
Ge (0.169, 0.182, 0.656)
Ge (0.331, 0.682, 0.344)
Ge (0.331, 0.682, 0.656)
Ge (0.369, 0.395, 0.000)
Ge (0.375, 0.404, 0.500)
Ge (0.458, 0.122, 0.000)
Ge (0.459, 0.122, 0.500)
Ge (0.541, 0.878, 0.500)
Ge (0.542, 0.878, 0.000)
Ge (0.625, 0.596, 0.500)
Ge (0.631, 0.605, 0.000)
Ge (0.669, 0.318, 0.344)
Ge (0.669, 0.318, 0.656)
Ge (0.831, 0.818, 0.344)
Ge (0.831, 0.818, 0.656)
Ge (0.869, 0.105, 0.000)
Ge (0.875, 0.096, 0.500)
Ge (0.958, 0.378, 0.000)
Ge (0.959, 0.378, 0.500)

(9)
Ni4B3: relaxed, r2SCAN.

Summary:
Energy of formation (kJ/mol of atoms): -26.7
Distance to the lowest polymorph of the same formula (eV per atom): 0.000

a = 11.842 Å, b = 2.981 Å, c = 6.512 Å
α = 90.00°, β = 90.00°, γ = 90.00°
Fractional positions:
Ni (0.050, 0.250, 0.249)
Ni (0.123, 0.250, 0.831)
Ni (0.148, 0.750, 0.508)
Ni (0.201, 0.750, 0.119)
Ni (0.299, 0.250, 0.619)
Ni (0.352, 0.250, 0.008)
Ni (0.377, 0.750, 0.331)
Ni (0.450, 0.750, 0.749)
Ni (0.550, 0.250, 0.251)
Ni (0.623, 0.250, 0.669)
Ni (0.648, 0.750, 0.992)
Ni (0.701, 0.750, 0.381)
Ni (0.799, 0.250, 0.881)
Ni (0.852, 0.250, 0.492)
Ni (0.877, 0.750, 0.169)
Ni (0.950, 0.750, 0.751)
B (0.025, 0.250, 0.563)
B (0.040, 0.750, 0.022)
B (0.243, 0.250, 0.316)
B (0.257, 0.750, 0.816)
B (0.460, 0.250, 0.522)
B (0.475, 0.750, 0.063)
B (0.525, 0.250, 0.937)
B (0.540, 0.750, 0.478)
B (0.743, 0.250, 0.184)
B (0.757, 0.750, 0.684)
B (0.960, 0.250, 0.978)
B (0.975, 0.750, 0.437)

(10)
SmBC: relaxed, r2SCAN.

Summary:
Energy of formation (kJ/mol of atoms): -51.6

a = 8.283 Å, b = 8.337 Å, c = 12.206 Å
α = 90.00°, β = 90.00°, γ = 90.00°
Fractional positions:
Sm (0.046, 0.097, 0.139)
Sm (0.064, 0.700, 0.637)
Sm (0.155, 0.593, 0.905)
Sm (0.162, 0.991, 0.421)
Sm (0.245, 0.288, 0.674)
Sm (0.255, 0.712, 0.174)
Sm (0.338, 0.009, 0.921)
Sm (0.345, 0.407, 0.405)
Sm (0.436, 0.300, 0.137)
Sm (0.454, 0.903, 0.639)
Sm (0.546, 0.403, 0.861)
Sm (0.564, 0.800, 0.363)
Sm (0.655, 0.907, 0.095)
Sm (0.662, 0.509, 0.579)
Sm (0.745, 0.212, 0.326)
Sm (0.755, 0.788, 0.826)
Sm (0.838, 0.491, 0.079)
Sm (0.845, 0.093, 0.595)
Sm (0.936, 0.200, 0.863)
Sm (0.954, 0.597, 0.361)
B (0.017, 0.892, 0.959)
B (0.063, 0.295, 0.321)
B (0.094, 0.981, 0.738)
B (0.116, 0.398, 0.213)
B (0.184, 0.307, 0.990)
B (0.316, 0.693, 0.490)
B (0.384, 0.602, 0.713)
B (0.406, 0.019, 0.238)
B (0.437, 0.705, 0.821)
B (0.483, 0.108, 0.459)
B (0.517, 0.608, 0.041)
B (0.563, 0.205, 0.679)
B (0.594, 0.519, 0.262)
B (0.616, 0.102, 0.787)
B (0.684, 0.193, 0.010)
B (0.816, 0.807, 0.510)
B (0.884, 0.898, 0.287)
B (0.906, 0.481, 0.762)
B (0.937, 0.795, 0.179)
B (0.983, 0.392, 0.541)
C (0.026, 0.304, 0.440)
C (0.055, 0.890, 0.840)
C (0.145, 0.397, 0.092)
C (0.148, 0.996, 0.624)
C (0.243, 0.299, 0.878)
C (0.257, 0.701, 0.378)
C (0.352, 0.004, 0.124)
C (0.355, 0.603, 0.592)
C (0.445, 0.110, 0.340)
C (0.474, 0.696, 0.940)
C (0.526, 0.196, 0.560)
C (0.555, 0.610, 0.160)
C (0.645, 0.103, 0.908)
C (0.648, 0.504, 0.376)
C (0.743, 0.201, 0.122)
C (0.757, 0.799, 0.622)
C (0.852, 0.496, 0.876)
C (0.855, 0.897, 0.408)
C (0.945, 0.390, 0.660)
C (0.974, 0.804, 0.060)

(11)
Nd3In: relaxed, r2SCAN.

Summary:
Energy of formation (kJ/mol of atoms): -34.9

a = 7.157 Å, b = 7.157 Å, c = 5.606 Å
α = 90.00°, β = 90.00°, γ = 120.00°
Fractional positions:
Nd (0.176, 0.353, 0.250)
Nd (0.176, 0.824, 0.250)
Nd (0.353, 0.176, 0.750)
Nd (0.647, 0.824, 0.250)
Nd (0.824, 0.176, 0.750)
Nd (0.824, 0.647, 0.750)
In (0.333, 0.667, 0.750)
In (0.667, 0.333, 0.250)

(12)
RbCaI3: relaxed, r2SCAN.

Summary:
Energy of formation (kJ/mol of atoms): -175.5

a = 10.469 Å, b = 4.694 Å, c = 17.374 Å
α = 90.00°, β = 90.00°, γ = 90.00°
Fractional positions:
Rb (0.073, 0.250, 0.175)
Rb (0.427, 0.750, 0.675)
Rb (0.573, 0.250, 0.325)
Rb (0.927, 0.750, 0.825)
Ca (0.165, 0.750, 0.443)
Ca (0.335, 0.250, 0.943)
Ca (0.665, 0.750, 0.057)
Ca (0.835, 0.250, 0.557)
I (0.025, 0.750, 0.605)
I (0.166, 0.750, 0.008)
I (0.206, 0.250, 0.785)
I (0.294, 0.750, 0.285)
I (0.334, 0.250, 0.508)
I (0.475, 0.250, 0.105)
I (0.525, 0.750, 0.895)
I (0.666, 0.750, 0.492)
I (0.706, 0.250, 0.715)
I (0.794, 0.750, 0.215)
I (0.834, 0.250, 0.992)
I (0.975, 0.250, 0.395)